DFT (r2SCAN) results for a relaxed structure of Pr2Al19Co6.

a = 10.6176 Å, b = 10.6176 Å, c = 8.1736 Å
α = 78.43°, β = 78.43°, γ = 68.92°
Sites, in units of the cell vectors:
Pr  0.7211  0.7211  0.2551
Pr  0.2789  0.2789  0.7449
Pr  0.7200  0.7200  0.7731
Pr  0.2800  0.2800  0.2269
Al  0.1708  0.8292  0.0000
Al  0.1860  0.5219  0.4474
Al  0.9198  0.9198  0.6382
Al  0.2717  0.0465  0.0512
Al  0.5427  0.1896  0.9422
Al  0.4344  0.6684  0.8451
Al  0.3306  0.5623  0.6474
Al  0.0015  0.5029  0.7646
Al  0.5219  0.1860  0.4474
Al  0.7026  0.9381  0.4643
Al  0.0619  0.2974  0.5357
Al  0.4781  0.8140  0.5526
Al  0.2974  0.0619  0.5357
Al  0.9985  0.4971  0.2354
Al  0.8104  0.4573  0.0578
Al  0.9381  0.7026  0.4643
Al  0.4377  0.6694  0.3526
Al  0.6684  0.4344  0.8451
Al  0.4971  0.9985  0.2354
Al  0.5029  0.0015  0.7646
Al  0.9535  0.7283  0.9488
Al  0.1493  0.7987  0.3622
Al  0.7987  0.1493  0.3622
Al  0.0864  0.0864  0.8147
Al  0.5656  0.3316  0.1549
Al  0.9136  0.9136  0.1853
Al  0.0465  0.2717  0.0512
Al  0.8507  0.2013  0.6378
Al  0.7283  0.9535  0.9488
Al  0.8292  0.1708  0.0000
Al  0.4573  0.8104  0.0578
Al  0.3316  0.5656  0.1549
Al  0.1896  0.5427  0.9422
Al  0.8140  0.4781  0.5526
Al  0.5623  0.3306  0.6474
Al  0.6694  0.4377  0.3526
Al  0.0802  0.0802  0.3618
Al  0.2013  0.8507  0.6378
Co  0.5609  0.5609  0.5949
Co  0.4389  0.4389  0.9054
Co  0.0800  0.6799  0.1883
Co  0.4391  0.4391  0.4051
Co  0.0837  0.6857  0.6700
Co  0.9200  0.3201  0.8117
Co  0.5611  0.5611  0.0946
Co  0.6799  0.0800  0.1883
Co  0.6857  0.0837  0.6700
Co  0.9163  0.3143  0.3300
Co  0.3201  0.9200  0.8117
Co  0.3143  0.9163  0.3300

E_tot in eV for the cell shown: -557.1
Formation enthalpy at 0 K in eV per atom: -0.4600